[1]
Here is a relaxed KSrPrBiO6 crystal from Materials Project. Energies are from PBE.

Unit cell a=6.277 b=6.277 c=6.277 alpha=60.00 beta=60.00 gamma=60.00
Fractional coordinates of all 10 atoms:
1 K 0.000 0.000 0.000
2 Sr 0.500 0.500 0.500
3 Pr 0.750 0.750 0.750
4 Bi 0.250 0.250 0.250
5 O 0.012 0.012 0.488
6 O 0.012 0.488 0.012
7 O 0.012 0.488 0.488
8 O 0.488 0.012 0.012
9 O 0.488 0.012 0.488
10 O 0.488 0.488 0.012

Summary:
* symmetry: F-43m (216)
* relative energy among the computed polymorphs: 37.0 meV per atom
* ΔH_f (0 K): -22.6 eV per formula unit


[2]
Here is a relaxed KSrPrBiO6 crystal from Materials Project. Energies are from PBE.

Unit cell a=8.767 b=8.797 c=8.859 alpha=90.00 beta=90.00 gamma=90.00
Fractional coordinates of all 40 atoms:
1 K 0.250 0.250 0.250
2 K 0.250 0.750 0.250
3 K 0.750 0.250 0.750
4 K 0.750 0.750 0.750
5 Sr 0.250 0.250 0.750
6 Sr 0.250 0.750 0.750
7 Sr 0.750 0.250 0.250
8 Sr 0.750 0.750 0.250
9 Pr 0.000 0.000 0.000
10 Pr 0.000 0.500 0.500
11 Pr 0.500 0.000 0.500
12 Pr 0.500 0.500 0.000
13 Bi 0.000 0.000 0.500
14 Bi 0.000 0.500 0.000
15 Bi 0.500 0.000 0.000
16 Bi 0.500 0.500 0.500
17 O 0.018 0.037 0.263
18 O 0.018 0.463 0.237
19 O 0.033 0.737 0.026
20 O 0.033 0.763 0.474
21 O 0.237 0.030 0.551
22 O 0.237 0.470 0.949
23 O 0.263 0.030 0.949
24 O 0.263 0.470 0.551
25 O 0.467 0.737 0.474
26 O 0.467 0.763 0.026
27 O 0.482 0.037 0.237
28 O 0.482 0.463 0.263
29 O 0.518 0.537 0.737
30 O 0.518 0.963 0.763
31 O 0.533 0.237 0.974
32 O 0.533 0.263 0.526
33 O 0.737 0.530 0.449
34 O 0.737 0.970 0.051
35 O 0.763 0.530 0.051
36 O 0.763 0.970 0.449
37 O 0.967 0.237 0.526
38 O 0.967 0.263 0.974
39 O 0.982 0.537 0.763
40 O 0.982 0.963 0.737

Summary:
* symmetry: Pnnn (48)
* relative energy among the computed polymorphs: 0.0 meV per atom
* ΔH_f (0 K): -23.0 eV per formula unit


[3]
Here is a relaxed K3Bi7S4O24 crystal from Materials Project. Energies are from PBE.

Unit cell a=15.802 b=15.802 c=20.474 alpha=129.76 beta=129.76 gamma=42.69
Fractional coordinates of all 152 atoms:
1 K 0.040 0.774 0.841
2 K 0.123 0.377 0.754
3 K 0.198 0.440 0.995
4 K 0.226 0.960 0.659
5 K 0.377 0.123 0.254
6 K 0.440 0.198 0.495
7 K 0.560 0.802 0.505
8 K 0.623 0.877 0.746
9 K 0.774 0.040 0.341
10 K 0.802 0.560 0.005
11 K 0.877 0.623 0.246
12 K 0.960 0.226 0.159
13 Bi 0.008 0.765 0.176
14 Bi 0.037 0.297 0.487
15 Bi 0.091 0.835 0.094
16 Bi 0.131 0.869 0.750
17 Bi 0.165 0.909 0.406
18 Bi 0.235 0.992 0.324
19 Bi 0.260 0.513 0.675
20 Bi 0.296 0.539 0.330
21 Bi 0.297 0.037 0.987
22 Bi 0.343 0.585 0.594
23 Bi 0.376 0.624 0.250
24 Bi 0.415 0.657 0.906
25 Bi 0.461 0.704 0.170
26 Bi 0.487 0.740 0.825
27 Bi 0.513 0.260 0.175
28 Bi 0.539 0.296 0.830
29 Bi 0.585 0.343 0.094
30 Bi 0.624 0.376 0.750
31 Bi 0.657 0.415 0.406
32 Bi 0.703 0.963 0.013
33 Bi 0.704 0.461 0.670
34 Bi 0.740 0.487 0.325
35 Bi 0.765 0.008 0.676
36 Bi 0.835 0.091 0.594
37 Bi 0.869 0.131 0.250
38 Bi 0.909 0.165 0.906
39 Bi 0.963 0.703 0.513
40 Bi 0.992 0.235 0.824
41 S 0.043 0.777 0.433
42 S 0.096 0.356 0.382
43 S 0.149 0.387 0.120
44 S 0.223 0.957 0.067
45 S 0.296 0.529 0.943
46 S 0.356 0.096 0.882
47 S 0.387 0.149 0.620
48 S 0.471 0.704 0.557
49 S 0.529 0.296 0.443
50 S 0.613 0.851 0.380
51 S 0.644 0.904 0.118
52 S 0.704 0.471 0.057
53 S 0.777 0.043 0.933
54 S 0.851 0.613 0.880
55 S 0.904 0.644 0.618
56 S 0.957 0.223 0.567
57 O 0.013 0.551 0.670
58 O 0.017 0.056 0.711
59 O 0.019 0.742 0.338
60 O 0.031 0.494 0.149
61 O 0.043 0.295 0.371
62 O 0.046 0.681 0.435
63 O 0.056 0.017 0.211
64 O 0.065 0.086 0.536
65 O 0.086 0.065 0.036
66 O 0.094 0.098 0.898
67 O 0.098 0.094 0.398
68 O 0.116 0.350 0.023
69 O 0.139 0.427 0.480
70 O 0.153 0.616 0.932
71 O 0.155 0.664 0.612
72 O 0.157 0.695 0.139
73 O 0.173 0.763 0.492
74 O 0.205 0.698 0.296
75 O 0.209 0.246 0.347
76 O 0.231 0.270 0.145
77 O 0.234 0.442 0.170
78 O 0.234 0.693 0.790
79 O 0.237 0.827 0.008
80 O 0.246 0.209 0.847
81 O 0.258 0.981 0.162
82 O 0.270 0.231 0.645
83 O 0.295 0.043 0.871
84 O 0.302 0.795 0.204
85 O 0.305 0.843 0.361
86 O 0.307 0.766 0.710
87 O 0.315 0.535 0.884
88 O 0.319 0.954 0.065
89 O 0.336 0.845 0.888
90 O 0.350 0.116 0.523
91 O 0.350 0.390 0.922
92 O 0.371 0.574 0.041
93 O 0.384 0.847 0.568
94 O 0.390 0.350 0.422
95 O 0.406 0.445 0.637
96 O 0.426 0.629 0.459
97 O 0.427 0.139 0.980
98 O 0.442 0.234 0.670
99 O 0.445 0.406 0.137
100 O 0.449 0.987 0.830
101 O 0.453 0.454 0.296
102 O 0.454 0.453 0.796
103 O 0.465 0.685 0.616
104 O 0.494 0.031 0.649
105 O 0.506 0.969 0.351
106 O 0.535 0.315 0.384
107 O 0.546 0.547 0.204
108 O 0.547 0.546 0.704
109 O 0.551 0.013 0.170
110 O 0.555 0.594 0.863
111 O 0.558 0.766 0.330
112 O 0.573 0.861 0.020
113 O 0.574 0.371 0.541
114 O 0.594 0.555 0.363
115 O 0.610 0.650 0.578
116 O 0.616 0.153 0.432
117 O 0.629 0.426 0.959
118 O 0.650 0.610 0.078
119 O 0.650 0.884 0.477
120 O 0.664 0.155 0.112
121 O 0.681 0.046 0.935
122 O 0.685 0.465 0.116
123 O 0.693 0.234 0.290
124 O 0.695 0.157 0.639
125 O 0.698 0.205 0.796
126 O 0.705 0.957 0.129
127 O 0.730 0.769 0.355
128 O 0.742 0.019 0.838
129 O 0.754 0.791 0.153
130 O 0.763 0.173 0.992
131 O 0.766 0.307 0.210
132 O 0.766 0.558 0.830
133 O 0.769 0.730 0.855
134 O 0.791 0.754 0.653
135 O 0.795 0.302 0.704
136 O 0.827 0.237 0.508
137 O 0.843 0.305 0.861
138 O 0.845 0.336 0.388
139 O 0.847 0.384 0.068
140 O 0.861 0.573 0.520
141 O 0.884 0.650 0.977
142 O 0.902 0.906 0.602
143 O 0.906 0.902 0.102
144 O 0.914 0.935 0.964
145 O 0.935 0.914 0.464
146 O 0.944 0.983 0.789
147 O 0.954 0.319 0.565
148 O 0.957 0.705 0.629
149 O 0.969 0.506 0.851
150 O 0.981 0.258 0.662
151 O 0.983 0.944 0.289
152 O 0.987 0.449 0.330

Summary:
* symmetry: C2/c (15)
* ΔH_f (0 K): -74.1 eV per formula unit


[4]
Here is a relaxed KSrBi2O6 crystal from Materials Project. Energies are from PBE.

Unit cell a=6.079 b=6.079 c=6.079 alpha=120.95 beta=120.95 gamma=88.37
Fractional coordinates of all 10 atoms:
1 K 0.000 0.000 0.000
2 Sr 0.500 0.500 0.000
3 Bi 0.250 0.750 0.500
4 Bi 0.750 0.250 0.500
5 O 0.000 0.500 0.500
6 O 0.077 0.458 0.000
7 O 0.458 0.077 0.000
8 O 0.500 0.000 0.500
9 O 0.542 0.542 0.619
10 O 0.923 0.923 0.381

Summary:
* symmetry: I-42m (121)
* ΔH_f (0 K): -19.0 eV per formula unit


[5]
Here is a relaxed KSr2Bi3O9 crystal from Materials Project. Energies are from PBE.

Unit cell a=6.126 b=6.126 c=7.554 alpha=90.00 beta=90.00 gamma=120.00
Fractional coordinates of all 15 atoms:
1 K 0.000 0.000 0.000
2 Sr 0.333 0.667 0.637
3 Sr 0.667 0.333 0.363
4 Bi 0.000 0.000 0.500
5 Bi 0.333 0.667 0.159
6 Bi 0.667 0.333 0.841
7 O 0.000 0.500 0.000
8 O 0.174 0.348 0.352
9 O 0.174 0.826 0.352
10 O 0.348 0.174 0.648
11 O 0.500 0.000 0.000
12 O 0.500 0.500 0.000
13 O 0.652 0.826 0.352
14 O 0.826 0.174 0.648
15 O 0.826 0.652 0.648

Summary:
* symmetry: P-3m1 (164)
* ΔH_f (0 K): -29.7 eV per formula unit


[6]
Here is a relaxed KSrBi2O5 crystal from Materials Project. Energies are from PBE.

Unit cell a=4.428 b=4.428 c=7.874 alpha=90.00 beta=90.00 gamma=90.00
Fractional coordinates of all 9 atoms:
1 K 0.000 0.000 0.000
2 Sr 0.000 0.000 0.500
3 Bi 0.500 0.500 0.234
4 Bi 0.500 0.500 0.766
5 O 0.000 0.500 0.256
6 O 0.000 0.500 0.744
7 O 0.500 0.000 0.256
8 O 0.500 0.000 0.744
9 O 0.500 0.500 0.500

Summary:
* symmetry: P4/mmm (123)
* ΔH_f (0 K): -17.2 eV per formula unit


[7]
Here is a relaxed KSrZrBiO6 crystal from Materials Project. Energies are from PBE.

Unit cell a=5.959 b=5.959 c=5.959 alpha=60.00 beta=60.00 gamma=60.00
Fractional coordinates of all 10 atoms:
1 K 0.000 0.000 0.000
2 Sr 0.500 0.500 0.500
3 Zr 0.750 0.750 0.750
4 Bi 0.250 0.250 0.250
5 O 0.501 0.501 0.999
6 O 0.501 0.999 0.501
7 O 0.501 0.999 0.999
8 O 0.999 0.501 0.501
9 O 0.999 0.501 0.999
10 O 0.999 0.999 0.501

Summary:
* symmetry: F-43m (216)
* relative energy among the computed polymorphs: 20.6 meV per atom
* ΔH_f (0 K): -25.8 eV per formula unit


[8]
Here is a relaxed KSrZrBiO6 crystal from Materials Project. Energies are from PBE.

Unit cell a=8.393 b=8.405 c=8.429 alpha=90.00 beta=90.00 gamma=90.00
Fractional coordinates of all 40 atoms:
1 K 0.250 0.250 0.250
2 K 0.250 0.750 0.750
3 K 0.750 0.250 0.250
4 K 0.750 0.750 0.750
5 Sr 0.250 0.250 0.750
6 Sr 0.250 0.750 0.250
7 Sr 0.750 0.250 0.750
8 Sr 0.750 0.750 0.250
9 Zr 0.000 0.000 0.000
10 Zr 0.000 0.500 0.500
11 Zr 0.500 0.000 0.500
12 Zr 0.500 0.500 0.000
13 Bi 0.000 0.000 0.500
14 Bi 0.000 0.500 0.000
15 Bi 0.500 0.000 0.000
16 Bi 0.500 0.500 0.500
17 O 0.018 0.250 0.533
18 O 0.018 0.250 0.967
19 O 0.021 0.008 0.248
20 O 0.021 0.492 0.252
21 O 0.249 0.519 0.517
22 O 0.249 0.981 0.983
23 O 0.251 0.519 0.983
24 O 0.251 0.981 0.517
25 O 0.479 0.008 0.252
26 O 0.479 0.492 0.248
27 O 0.482 0.250 0.533
28 O 0.482 0.250 0.967
29 O 0.518 0.750 0.033
30 O 0.518 0.750 0.467
31 O 0.521 0.508 0.752
32 O 0.521 0.992 0.748
33 O 0.749 0.019 0.483
34 O 0.749 0.481 0.017
35 O 0.751 0.019 0.017
36 O 0.751 0.481 0.483
37 O 0.979 0.508 0.748
38 O 0.979 0.992 0.752
39 O 0.982 0.750 0.033
40 O 0.982 0.750 0.467

Summary:
* symmetry: Pnnn (48)
* relative energy among the computed polymorphs: 0.0 meV per atom
* ΔH_f (0 K): -26.0 eV per formula unit


[9]
Here is a relaxed KBiP2S7 crystal from Materials Project. Energies are from PBE.

Unit cell a=9.777 b=12.744 c=9.238 alpha=90.00 beta=90.42 gamma=90.00
Fractional coordinates of all 44 atoms:
1 K 0.112 0.188 0.126
2 K 0.112 0.312 0.626
3 K 0.888 0.688 0.374
4 K 0.888 0.812 0.874
5 Bi 0.348 0.637 0.626
6 Bi 0.348 0.863 0.126
7 Bi 0.652 0.137 0.874
8 Bi 0.652 0.363 0.374
9 P 0.228 0.609 0.983
10 P 0.228 0.891 0.483
11 P 0.321 0.034 0.802
12 P 0.321 0.466 0.302
13 P 0.679 0.534 0.698
14 P 0.679 0.966 0.198
15 P 0.772 0.109 0.517
16 P 0.772 0.391 0.017
17 S 0.124 0.711 0.110
18 S 0.124 0.789 0.610
19 S 0.134 0.558 0.797
20 S 0.134 0.942 0.297
21 S 0.174 0.531 0.430
22 S 0.174 0.969 0.930
23 S 0.249 0.043 0.583
24 S 0.249 0.457 0.083
25 S 0.345 0.189 0.845
26 S 0.345 0.311 0.345
27 S 0.410 0.675 0.931
28 S 0.410 0.825 0.431
29 S 0.497 0.550 0.316
30 S 0.497 0.950 0.816
31 S 0.503 0.050 0.184
32 S 0.503 0.450 0.684
33 S 0.590 0.175 0.569
34 S 0.590 0.325 0.069
35 S 0.655 0.689 0.655
36 S 0.655 0.811 0.155
37 S 0.751 0.543 0.917
38 S 0.751 0.957 0.417
39 S 0.826 0.031 0.070
40 S 0.826 0.469 0.570
41 S 0.866 0.058 0.703
42 S 0.866 0.442 0.203
43 S 0.876 0.211 0.390
44 S 0.876 0.289 0.890

Summary:
* symmetry: P2_1/c (14)
* ΔH_f (0 K): -8.8 eV per formula unit